Arrangement 1

LiVF5 after structural relaxation. Source: the Materials Project, functional GGA+U.

Summary:
volume: 15.11 A^3/atom
calculated density: 2400 kg/m3
magnetization: 1.00 μB/f.u.

Cell lengths 6.782, 6.782, 4.600 Å; angles 90.00, 90.00, 90.00 degrees
Atoms (fractional coordinates):
Li  0.250  0.750  0.000
Li  0.750  0.250  0.000
V  0.250  0.250  0.121
V  0.750  0.750  0.879
F  0.014  0.712  0.784
F  0.212  0.986  0.216
F  0.250  0.250  0.741
F  0.288  0.514  0.216
F  0.486  0.788  0.784
F  0.514  0.212  0.216
F  0.712  0.486  0.784
F  0.750  0.750  0.259
F  0.788  0.014  0.784
F  0.986  0.288  0.216



Arrangement 2

LiVF5 after structural relaxation. Source: the Materials Project, functional GGA+U.

Summary:
volume: 13.10 A^3/atom
calculated density: 2769 kg/m3

Cell lengths 5.300, 5.300, 7.610 Å; angles 111.20, 111.20, 74.22 degrees
Atoms (fractional coordinates):
Li  0.020  0.980  0.750
Li  0.980  0.020  0.250
V  0.500  0.500  0.000
V  0.500  0.500  0.500
F  0.197  0.771  0.542
F  0.228  0.288  0.874
F  0.229  0.803  0.958
F  0.288  0.228  0.374
F  0.424  0.576  0.250
F  0.576  0.424  0.750
F  0.712  0.772  0.626
F  0.771  0.197  0.042
F  0.772  0.712  0.126
F  0.803  0.229  0.458



Arrangement 3

LiVF5 after structural relaxation. Source: the Materials Project, functional GGA+U.

Summary:
volume: 11.96 A^3/atom
calculated density: 3032 kg/m3
magnetization: 1.00 μB/f.u.

Cell lengths 5.226, 10.057, 6.646 Å; angles 90.00, 106.52, 90.00 degrees
Atoms (fractional coordinates):
Li  0.055  0.243  0.384
Li  0.055  0.257  0.884
Li  0.945  0.743  0.116
Li  0.945  0.757  0.616
V  0.446  0.031  0.744
V  0.446  0.469  0.244
V  0.554  0.531  0.756
V  0.554  0.969  0.256
F  0.157  0.584  0.195
F  0.157  0.916  0.695
F  0.217  0.176  0.675
F  0.217  0.324  0.175
F  0.248  0.635  0.689
F  0.248  0.865  0.189
F  0.372  0.089  0.021
F  0.372  0.411  0.521
F  0.397  0.092  0.403
F  0.397  0.408  0.903
F  0.603  0.592  0.097
F  0.603  0.908  0.597
F  0.628  0.589  0.479
F  0.628  0.911  0.979
F  0.752  0.135  0.811
F  0.752  0.365  0.311
F  0.783  0.676  0.825
F  0.783  0.824  0.325
F  0.843  0.084  0.305
F  0.843  0.416  0.805



Arrangement 4

LiVF5 after structural relaxation. Source: the Materials Project, functional GGA+U.

Summary:
volume: 13.75 A^3/atom
calculated density: 2637 kg/m3
magnetization: 1.00 μB/f.u.

Cell lengths 7.711, 17.286, 5.778 Å; angles 90.00, 90.00, 90.00 degrees
Atoms (fractional coordinates):
Li  0.119  0.146  0.000
Li  0.235  0.531  0.806
Li  0.265  0.031  0.306
Li  0.381  0.646  0.500
Li  0.619  0.354  0.000
Li  0.735  0.969  0.806
Li  0.765  0.469  0.306
Li  0.881  0.854  0.500
V  0.061  0.356  0.009
V  0.109  0.874  0.013
V  0.391  0.374  0.513
V  0.439  0.856  0.509
V  0.561  0.144  0.009
V  0.609  0.626  0.013
V  0.891  0.126  0.513
V  0.939  0.644  0.509
F  0.010  0.783  0.014
F  0.036  0.088  0.748
F  0.036  0.251  0.019
F  0.046  0.088  0.280
F  0.107  0.622  0.733
F  0.110  0.631  0.297
F  0.140  0.457  0.012
F  0.236  0.336  0.763
F  0.237  0.965  0.028
F  0.238  0.340  0.259
F  0.262  0.840  0.759
F  0.263  0.465  0.528
F  0.264  0.836  0.263
F  0.360  0.957  0.512
F  0.390  0.131  0.797
F  0.393  0.122  0.233
F  0.454  0.588  0.780
F  0.464  0.588  0.248
F  0.464  0.751  0.519
F  0.490  0.283  0.514
F  0.510  0.717  0.014
F  0.536  0.249  0.019
F  0.536  0.412  0.748
F  0.546  0.412  0.280
F  0.607  0.878  0.733
F  0.610  0.869  0.297
F  0.640  0.043  0.012
F  0.736  0.164  0.763
F  0.737  0.535  0.028
F  0.738  0.160  0.259
F  0.762  0.660  0.759
F  0.763  0.035  0.528
F  0.764  0.664  0.263
F  0.860  0.543  0.512
F  0.890  0.369  0.797
F  0.893  0.378  0.233
F  0.954  0.912  0.780
F  0.964  0.749  0.519
F  0.964  0.912  0.248
F  0.990  0.217  0.514



Most stable structure - arrangement 2; separation to the second - 19 meV/atom.



Arrangement 1

LiVF5 after structural relaxation. Source: the Materials Project, functional GGA+U.

Summary:
volume: 13.26 A^3/atom
calculated density: 2734 kg/m3
magnetization: 1.00 μB/f.u.

Cell lengths 7.709, 5.730, 16.814 Å; angles 90.00, 90.00, 90.00 degrees
Atoms (fractional coordinates):
Li  0.184  0.250  0.084
Li  0.220  0.250  0.569
Li  0.280  0.750  0.069
Li  0.316  0.750  0.584
Li  0.684  0.250  0.416
Li  0.720  0.250  0.931
Li  0.780  0.750  0.431
Li  0.816  0.750  0.916
V  0.058  0.250  0.358
V  0.112  0.250  0.876
V  0.388  0.750  0.376
V  0.442  0.750  0.858
V  0.558  0.250  0.142
V  0.612  0.250  0.624
V  0.888  0.750  0.124
V  0.942  0.750  0.642
F  0.018  0.250  0.780
F  0.022  0.250  0.254
F  0.047  0.529  0.084
F  0.047  0.971  0.084
F  0.116  0.527  0.618
F  0.116  0.973  0.618
F  0.133  0.250  0.462
F  0.229  0.501  0.340
F  0.229  0.999  0.340
F  0.237  0.250  0.970
F  0.263  0.750  0.470
F  0.271  0.001  0.840
F  0.271  0.499  0.840
F  0.367  0.750  0.962
F  0.384  0.027  0.118
F  0.384  0.473  0.118
F  0.453  0.029  0.584
F  0.453  0.471  0.584
F  0.478  0.750  0.754
F  0.482  0.750  0.280
F  0.518  0.250  0.720
F  0.522  0.250  0.246
F  0.547  0.529  0.416
F  0.547  0.971  0.416
F  0.616  0.527  0.882
F  0.616  0.973  0.882
F  0.633  0.250  0.038
F  0.729  0.501  0.160
F  0.729  0.999  0.160
F  0.737  0.250  0.530
F  0.763  0.750  0.030
F  0.771  0.001  0.660
F  0.771  0.499  0.660
F  0.867  0.750  0.538
F  0.884  0.027  0.382
F  0.884  0.473  0.382
F  0.953  0.029  0.916
F  0.953  0.471  0.916
F  0.978  0.750  0.746
F  0.982  0.750  0.220



Arrangement 2

LiVF5 after structural relaxation. Source: the Materials Project, functional GGA+U.

Summary:
volume: 13.72 A^3/atom
calculated density: 2644 kg/m3
magnetization: 1.00 μB/f.u.

Cell lengths 5.490, 17.847, 9.565 Å; angles 90.00, 124.96, 90.00 degrees
Atoms (fractional coordinates):
Li  0.026  0.119  0.272
Li  0.026  0.381  0.772
Li  0.394  0.195  0.138
Li  0.394  0.305  0.638
Li  0.606  0.695  0.362
Li  0.606  0.805  0.862
Li  0.974  0.619  0.228
Li  0.974  0.881  0.728
V  0.201  0.623  0.958
V  0.201  0.877  0.458
V  0.379  0.618  0.636
V  0.379  0.882  0.136
V  0.621  0.118  0.864
V  0.621  0.382  0.364
V  0.799  0.123  0.542
V  0.799  0.377  0.042
F  0.009  0.137  0.068
F  0.009  0.363  0.568
F  0.064  0.715  0.872
F  0.064  0.785  0.372
F  0.182  0.595  0.752
F  0.182  0.905  0.252
F  0.225  0.096  0.657
F  0.225  0.404  0.157
F  0.231  0.643  0.165
F  0.231  0.857  0.665
F  0.287  0.527  0.018
F  0.287  0.973  0.518
F  0.355  0.522  0.584
F  0.355  0.978  0.084
F  0.402  0.154  0.429
F  0.402  0.346  0.929
F  0.425  0.712  0.726
F  0.425  0.788  0.226
F  0.459  0.150  0.981
F  0.459  0.350  0.481
F  0.541  0.650  0.519
F  0.541  0.850  0.019
F  0.575  0.212  0.774
F  0.575  0.288  0.274
F  0.598  0.654  0.071
F  0.598  0.846  0.571
F  0.645  0.022  0.916
F  0.645  0.478  0.416
F  0.713  0.027  0.482
F  0.713  0.473  0.982
F  0.769  0.143  0.335
F  0.769  0.357  0.835
F  0.775  0.596  0.843
F  0.775  0.904  0.343
F  0.818  0.095  0.748
F  0.818  0.405  0.248
F  0.936  0.215  0.628
F  0.936  0.285  0.128
F  0.991  0.637  0.432
F  0.991  0.863  0.932



Most stable structure - arrangement 1; separation to the second - 25 meV/atom.



Arrangement 1

LiVF5 after structural relaxation. Source: the Materials Project, functional GGA+U.

Summary:
volume: 13.33 A^3/atom
calculated density: 2721 kg/m3

Cell lengths 6.225, 7.556, 7.934 Å; angles 90.00, 90.00, 90.00 degrees
Atoms (fractional coordinates):
Li  0.213  0.250  0.075
Li  0.287  0.750  0.575
Li  0.713  0.250  0.425
Li  0.787  0.750  0.925
V  0.236  0.750  0.100
V  0.264  0.250  0.600
V  0.736  0.750  0.400
V  0.764  0.250  0.900
F  0.005  0.250  0.490
F  0.085  0.250  0.816
F  0.096  0.750  0.894
F  0.220  0.513  0.128
F  0.220  0.987  0.128
F  0.280  0.013  0.628
F  0.280  0.487  0.628
F  0.404  0.250  0.394
F  0.415  0.750  0.316
F  0.495  0.750  0.990
F  0.505  0.250  0.010
F  0.585  0.250  0.684
F  0.596  0.750  0.606
F  0.720  0.513  0.372
F  0.720  0.987  0.372
F  0.780  0.013  0.872
F  0.780  0.487  0.872
F  0.904  0.250  0.106
F  0.915  0.750  0.184
F  0.995  0.750  0.510



Arrangement 2

LiVF5 after structural relaxation. Source: the Materials Project, functional GGA+U.

Summary:
volume: 11.95 A^3/atom
calculated density: 3035 kg/m3
magnetization: 1.00 μB/f.u.

Cell lengths 5.257, 5.257, 6.795 Å; angles 108.00, 108.00, 75.32 degrees
Atoms (fractional coordinates):
Li  0.000  0.000  0.000
Li  0.000  0.000  0.500
V  0.445  0.555  0.750
V  0.555  0.445  0.250
F  0.158  0.842  0.750
F  0.218  0.300  0.639
F  0.300  0.218  0.139
F  0.324  0.663  0.059
F  0.337  0.676  0.441
F  0.663  0.324  0.559
F  0.676  0.337  0.941
F  0.700  0.782  0.861
F  0.782  0.700  0.361
F  0.842  0.158  0.250



Arrangement 3

LiVF5 after structural relaxation. Source: the Materials Project, functional GGA+U.

Summary:
volume: 13.87 A^3/atom
calculated density: 2615 kg/m3
magnetization: 1.00 μB/f.u.

Cell lengths 9.402, 7.906, 13.365 Å; angles 90.00, 128.59, 90.00 degrees
Atoms (fractional coordinates):
Li  0.164  0.158  0.027
Li  0.164  0.342  0.527
Li  0.284  0.634  0.912
Li  0.284  0.866  0.412
Li  0.716  0.134  0.588
Li  0.716  0.366  0.088
Li  0.836  0.658  0.473
Li  0.836  0.842  0.973
V  0.292  0.725  0.167
V  0.292  0.775  0.667
V  0.301  0.200  0.817
V  0.301  0.300  0.317
V  0.699  0.700  0.683
V  0.699  0.800  0.183
V  0.708  0.225  0.333
V  0.708  0.275  0.833
F  0.056  0.730  0.113
F  0.056  0.770  0.613
F  0.118  0.246  0.648
F  0.118  0.254  0.148
F  0.172  0.092  0.859
F  0.172  0.408  0.359
F  0.235  0.594  0.034
F  0.235  0.906  0.534
F  0.243  0.573  0.579
F  0.243  0.927  0.079
F  0.257  0.095  0.363
F  0.257  0.405  0.863
F  0.341  0.517  0.267
F  0.341  0.983  0.767
F  0.384  0.662  0.815
F  0.384  0.838  0.315
F  0.451  0.204  0.266
F  0.451  0.296  0.766
F  0.476  0.690  0.526
F  0.476  0.810  0.026
F  0.524  0.190  0.974
F  0.524  0.310  0.474
F  0.549  0.704  0.234
F  0.549  0.796  0.734
F  0.616  0.162  0.685
F  0.616  0.338  0.185
F  0.659  0.017  0.233
F  0.659  0.483  0.733
F  0.743  0.595  0.137
F  0.743  0.905  0.637
F  0.757  0.073  0.921
F  0.757  0.427  0.421
F  0.765  0.094  0.466
F  0.765  0.406  0.966
F  0.828  0.592  0.641
F  0.828  0.908  0.141
F  0.882  0.746  0.852
F  0.882  0.754  0.352
F  0.944  0.230  0.387
F  0.944  0.270  0.887



Most stable structure - arrangement 1; separation to the second - 30 meV/atom.